(A)
WO5 | PBE with a Hubbard U | relaxed

Cell lengths 4.002, 8.109, 13.172 Å; angles 68.46, 90.00, 90.00 degrees
Fractional positions:
W 0.434 0.830 0.313
W 0.934 0.170 0.187
W 0.566 0.170 0.687
W 0.066 0.830 0.813
O 0.258 0.574 0.353
O 0.758 0.426 0.147
O 0.742 0.426 0.647
O 0.242 0.574 0.853
O 0.596 0.569 0.356
O 0.096 0.431 0.144
O 0.404 0.431 0.644
O 0.904 0.569 0.856
O 0.450 0.816 0.448
O 0.950 0.184 0.052
O 0.550 0.184 0.552
O 0.050 0.816 0.948
O 0.939 0.906 0.283
O 0.439 0.094 0.217
O 0.061 0.094 0.717
O 0.561 0.906 0.783
O 0.461 0.771 0.174
O 0.961 0.229 0.326
O 0.539 0.229 0.826
O 0.039 0.771 0.674

Summary:
Mass density: 4.4 Mg/m³
Symmetry: P2_1/c, No. 14

=====

(B)
WO5 | PBE with a Hubbard U | relaxed

Cell lengths 3.861, 10.507, 12.250 Å; angles 79.80, 90.00, 90.00 degrees
Fractional positions:
W 0.457 0.136 0.465
W 0.957 0.864 0.535
W 0.509 0.865 0.037
W 0.009 0.135 0.963
O 0.458 0.215 0.328
O 0.958 0.785 0.672
O 0.506 0.785 0.174
O 0.006 0.215 0.826
O 0.957 0.074 0.481
O 0.457 0.926 0.519
O 0.010 0.927 0.021
O 0.510 0.073 0.979
O 0.459 0.251 0.550
O 0.959 0.749 0.450
O 0.508 0.750 0.951
O 0.008 0.250 0.049
O 0.549 0.511 0.377
O 0.049 0.489 0.623
O 0.535 0.456 0.132
O 0.035 0.544 0.868
O 0.237 0.488 0.371
O 0.737 0.512 0.629
O 0.814 0.513 0.130
O 0.314 0.487 0.870

Summary:
Mass density: 3.6 Mg/m³
Symmetry: P2_1, No. 4

=====

(C)
WO5 | PBE with a Hubbard U | relaxed

Cell lengths 3.888, 6.165, 7.720 Å; angles 90.00, 90.00, 90.00 degrees
Fractional positions:
W 0.000 0.000 0.250
W 0.000 0.000 0.750
O 0.000 0.000 0.500
O 0.000 0.000 0.000
O 0.500 0.500 0.500
O 0.500 0.500 0.000
O 0.482 0.000 0.250
O 0.518 0.000 0.750
O 0.919 0.307 0.250
O 0.919 0.693 0.250
O 0.081 0.693 0.750
O 0.081 0.307 0.750

Summary:
Mass density: 4.7 Mg/m³
Symmetry: Pmma, No. 51

=====

Which one sits at the bottom of the stability order? (A) does.

=====

(A)
Y2W2O9 | PBE with a Hubbard U | relaxed

Cell lengths 9.805, 9.805, 7.213 Å; angles 90.00, 90.00, 106.03 degrees
Fractional positions:
Y 0.120 0.409 0.498
Y 0.409 0.120 0.502
Y 0.771 0.229 0.250
Y 0.772 0.228 0.750
Y 0.228 0.772 0.250
Y 0.229 0.771 0.750
Y 0.591 0.880 0.002
Y 0.880 0.591 0.998
W 0.953 0.953 0.000
W 0.147 0.393 0.997
W 0.393 0.147 0.003
W 0.499 0.501 0.250
W 0.501 0.499 0.750
W 0.607 0.853 0.503
W 0.853 0.607 0.497
W 0.047 0.047 0.500
O 0.328 0.029 0.206
O 0.029 0.328 0.794
O 0.202 0.202 0.500
O 0.331 0.031 0.799
O 0.031 0.331 0.201
O 0.223 0.223 0.000
O 0.112 0.577 0.995
O 0.577 0.112 0.005
O 0.303 0.476 0.187
O 0.476 0.303 0.813
O 0.303 0.475 0.807
O 0.475 0.303 0.193
O 0.630 0.209 0.502
O 0.209 0.630 0.498
O 0.442 0.442 0.500
O 0.089 0.847 0.994
O 0.847 0.089 0.006
O 0.997 0.003 0.750
O 0.003 0.997 0.250
O 0.153 0.911 0.506
O 0.911 0.153 0.494
O 0.558 0.558 0.000
O 0.370 0.791 0.002
O 0.791 0.370 0.998
O 0.525 0.697 0.693
O 0.697 0.525 0.307
O 0.524 0.697 0.313
O 0.697 0.524 0.687
O 0.888 0.423 0.495
O 0.423 0.888 0.505
O 0.777 0.777 0.500
O 0.969 0.669 0.701
O 0.669 0.969 0.299
O 0.798 0.798 0.000
O 0.971 0.672 0.294
O 0.672 0.971 0.706

Summary:
Mass density: 6.9 Mg/m³
Symmetry: C222_1, No. 20

=====

(B)
Y2W2O9 | PBE with a Hubbard U | relaxed

Cell lengths 9.749, 7.691, 9.239 Å; angles 71.57, 90.00, 90.00 degrees
Fractional positions:
Y 0.057 0.774 0.655
Y 0.450 0.707 0.571
Y 0.443 0.774 0.155
Y 0.050 0.707 0.071
Y 0.950 0.293 0.929
Y 0.557 0.226 0.845
Y 0.550 0.293 0.429
Y 0.943 0.226 0.345
W 0.749 0.932 0.736
W 0.751 0.932 0.236
W 0.273 0.425 0.964
W 0.773 0.575 0.536
W 0.227 0.425 0.464
W 0.727 0.575 0.036
W 0.249 0.068 0.764
W 0.251 0.068 0.264
O 0.386 0.994 0.908
O 0.089 0.936 0.850
O 0.284 0.892 0.666
O 0.114 0.994 0.408
O 0.411 0.936 0.350
O 0.618 0.775 0.919
O 0.865 0.731 0.861
O 0.216 0.892 0.166
O 0.679 0.745 0.637
O 0.882 0.775 0.419
O 0.102 0.558 0.890
O 0.635 0.731 0.361
O 0.407 0.502 0.816
O 0.821 0.745 0.137
O 0.202 0.598 0.566
O 0.702 0.402 0.934
O 0.907 0.498 0.684
O 0.398 0.558 0.390
O 0.602 0.442 0.610
O 0.093 0.502 0.316
O 0.298 0.598 0.066
O 0.798 0.402 0.434
O 0.179 0.255 0.863
O 0.593 0.498 0.184
O 0.365 0.269 0.639
O 0.898 0.442 0.110
O 0.118 0.225 0.581
O 0.321 0.255 0.363
O 0.784 0.108 0.834
O 0.135 0.269 0.139
O 0.382 0.225 0.081
O 0.589 0.064 0.650
O 0.886 0.006 0.592
O 0.716 0.108 0.334
O 0.911 0.064 0.150
O 0.614 0.006 0.092

Summary:
Mass density: 7.0 Mg/m³
Symmetry: P2_1/c, No. 14

=====

Which one sits at the bottom of the stability order? (A) does.

=====

(A)
ZnW2O4 | PBE with a Hubbard U | relaxed

Cell lengths 6.398, 6.411, 15.560 Å; angles 88.23, 88.73, 60.91 degrees
Fractional positions:
Zn 0.649 0.175 0.960
Zn 0.344 0.841 0.673
Zn 0.179 0.668 0.838
Zn 0.664 0.164 0.333
Zn 0.493 0.993 0.497
Zn 0.831 0.335 0.162
W 0.181 0.165 0.829
W 0.988 0.489 0.609
W 0.991 0.503 0.989
W 0.679 0.676 0.834
W 0.492 0.500 0.505
W 0.323 0.825 0.252
W 0.999 0.995 0.506
W 0.831 0.831 0.165
W 0.713 0.205 0.705
W 0.330 0.332 0.164
W 0.997 0.500 0.418
W 0.322 0.830 0.058
O 0.314 0.346 0.908
O 0.005 0.505 0.755
O 0.831 0.829 0.907
O 0.839 0.347 0.903
O 0.630 0.676 0.589
O 0.512 0.976 0.754
O 0.328 0.834 0.438
O 0.509 0.525 0.759
O 0.175 0.133 0.590
O 0.346 0.830 0.905
O 0.176 0.673 0.591
O 0.032 0.980 0.754
O 0.965 0.003 0.253
O 0.814 0.317 0.423
O 0.817 0.860 0.424
O 0.500 0.468 0.253
O 0.677 0.177 0.092
O 0.656 0.159 0.581
O 0.509 0.008 0.248
O 0.358 0.317 0.423
O 0.138 0.641 0.076
O 0.176 0.204 0.073
O 0.988 0.486 0.229
O 0.696 0.678 0.076

Summary:
Mass density: 8.9 Mg/m³
Symmetry: P1, No. 1

=====

(B)
ZnW2O4 | PBE with a Hubbard U | relaxed

Cell lengths 6.452, 6.452, 15.516 Å; angles 88.80, 88.80, 59.27 degrees
Fractional positions:
Zn 0.163 0.163 0.954
Zn 0.497 0.497 0.624
Zn 0.500 0.500 0.996
Zn 0.838 0.838 0.292
Zn 0.162 0.162 0.710
Zn 0.502 0.502 0.376
W 0.164 0.659 0.835
W 0.658 0.658 0.833
W 0.500 0.999 0.500
W 0.659 0.164 0.835
W 0.830 0.830 0.667
W 0.000 0.000 0.500
W 0.838 0.338 0.166
W 0.999 0.500 0.500
W 0.338 0.838 0.166
W 0.171 0.171 0.333
W 0.339 0.339 0.165
W 0.833 0.833 0.043
O 0.341 0.341 0.919
O 0.495 0.495 0.758
O 0.331 0.811 0.913
O 0.811 0.331 0.913
O 0.515 0.988 0.754
O 0.675 0.675 0.582
O 0.988 0.515 0.754
O 0.818 0.818 0.908
O 0.672 0.145 0.580
O 0.836 0.836 0.424
O 0.984 0.984 0.752
O 0.145 0.672 0.580
O 0.855 0.327 0.419
O 0.017 0.017 0.249
O 0.327 0.855 0.419
O 0.163 0.163 0.576
O 0.174 0.174 0.090
O 0.012 0.486 0.246
O 0.325 0.325 0.418
O 0.486 0.012 0.246
O 0.183 0.676 0.091
O 0.501 0.501 0.242
O 0.676 0.183 0.091
O 0.648 0.648 0.077

Summary:
Mass density: 8.9 Mg/m³
Symmetry: Cm, No. 8

=====

Which one sits at the bottom of the stability order? (A) does.

=====

(A)
Zn2W3O8 | PBE with a Hubbard U | relaxed

Cell lengths 6.479, 6.479, 5.004 Å; angles 72.70, 72.70, 54.28 degrees
Fractional positions:
Zn 0.313 0.313 0.138
Zn 0.687 0.687 0.862
W 0.000 0.000 0.000
W 0.229 0.771 0.500
W 0.771 0.229 0.500
O 0.597 0.597 0.277
O 0.403 0.403 0.723
O 0.132 0.132 0.235
O 0.868 0.868 0.765
O 0.647 0.134 0.262
O 0.134 0.647 0.262
O 0.866 0.353 0.738
O 0.353 0.866 0.738

Summary:
Mass density: 8.4 Mg/m³
Symmetry: C2/m, No. 12

=====

(B)
Zn2W3O8 | PBE with a Hubbard U | relaxed

Cell lengths 6.354, 6.354, 9.361 Å; angles 90.00, 90.00, 120.00 degrees
Fractional positions:
Zn 0.667 0.333 0.041
Zn 0.333 0.667 0.541
Zn 0.667 0.333 0.402
Zn 0.333 0.667 0.902
W 0.671 0.835 0.245
W 0.835 0.165 0.745
W 0.165 0.329 0.245
W 0.835 0.671 0.745
W 0.329 0.165 0.745
W 0.165 0.835 0.245
O 0.833 0.167 0.142
O 0.666 0.833 0.642
O 0.167 0.334 0.642
O 0.833 0.666 0.142
O 0.334 0.167 0.142
O 0.167 0.833 0.642
O 0.513 0.487 0.869
O 0.027 0.513 0.369
O 0.487 0.973 0.369
O 0.513 0.027 0.869
O 0.000 0.000 0.353
O 0.000 0.000 0.853
O 0.333 0.667 0.131
O 0.973 0.487 0.869
O 0.487 0.513 0.369
O 0.667 0.333 0.631

Summary:
Mass density: 8.2 Mg/m³
Symmetry: P6_3mc, No. 186

=====

Which one sits at the bottom of the stability order? (A) does.